80
Lattice="-13.939 -10.450 -2.729 1.516 -0.183 -7.045 7.233 -8.459 -4.555" Properties=species:S:1:pos:R:3 comment="PBE+U ZnFeS2O16, relaxed" volume_a3_per_atom=16.4 e_form_ev_per_atom=-0.398 final_energy_ev_per_cell=-401.176 e_above_lowest_polymorph_ev_per_atom=0.022 space_group="P2_1/c (14)" magnetic_moment_mub_per_fu=14.91 pbc="T T T"
O -6.007 -18.427 -9.052
Zn -8.736 -8.328 -2.816
O -3.914 -17.829 -13.436
O -10.967 -12.252 -9.634
S -4.759 -10.405 -9.511
S -4.029 -16.798 -12.353
O -3.769 -14.620 -7.850
O -2.955 -7.807 -6.750
O -3.556 -10.621 -10.380
S -9.616 -12.566 -10.074
O -1.764 -13.226 -12.085
Zn -6.619 -13.682 -5.386
O 0.589 -13.484 -11.256
O -4.687 -15.144 -8.478
O 2.057 -9.623 -11.000
O -7.954 -13.435 -7.568
Zn 3.546 -10.763 -11.514
Fe -3.353 -9.454 -3.642
Fe 0.758 -0.091 -3.523
O -2.412 -2.341 -2.761
O -1.644 -9.449 -8.744
O -5.797 -15.321 -6.030
O -7.248 -9.468 -3.329
O -5.747 -12.279 -6.208
Zn 1.429 -5.409 -8.943
O -9.286 -13.946 -10.204
O -4.462 -9.579 -8.314
O -1.491 -14.004 -9.330
O -4.932 -13.444 -10.516
S -0.432 -8.686 -4.818
O -0.504 -3.947 -5.851
O -0.867 -15.063 -9.166
O -6.579 -7.404 -8.439
S 4.425 -6.525 -4.255
O -2.779 -16.750 -11.568
O 2.934 -10.194 -6.173
Fe -2.595 -9.545 -7.165
O 5.776 -6.839 -4.696
O -7.967 -10.826 -5.686
O -3.699 -5.087 -4.999
S -4.537 -6.303 -3.024
O -3.546 -9.642 -5.585
O -1.422 -4.471 -6.480
O -2.235 -11.283 -7.579
O -0.728 -9.512 -6.015
O 0.607 -3.770 -8.299
O 6.351 -7.771 -7.913
S -1.162 -2.293 -1.976
O -8.750 -12.505 -7.766
O 1.902 -9.084 -8.366
O -0.717 -11.509 -10.612
O 3.559 -6.586 -6.564
O -4.473 -7.582 -3.717
O 4.095 -5.145 -4.126
O -1.634 -8.470 -3.949
O -4.323 -4.028 -5.163
O 0.817 -0.664 -5.277
O -5.308 -11.706 -9.078
O 1.458 -4.695 -2.891
O -8.125 -8.897 -8.156
O -5.169 -17.049 -11.438
O 0.118 -7.385 -5.251
O -11.541 -11.320 -6.416
O -5.779 -5.607 -3.074
O 4.877 -10.514 -10.261
O -10.068 -8.577 -4.068
O 3.547 -7.578 -3.864
O -0.021 -2.041 -2.892
O -1.276 -1.262 -0.893
S -0.653 -12.788 -11.305
O -7.092 -10.007 -5.964
O 2.776 -8.264 -8.643
O -8.737 -11.512 -10.465
O -3.426 -5.865 -2.244
Fe 0.000 0.000 0.000
O 1.389 -11.687 -5.890
O 2.764 -5.656 -6.761
O 0.557 -6.812 -8.121
O -6.648 -14.396 -11.438
O -0.258 -5.647 -3.813